## P
# Li4MnCrO6 | the Materials Project | GGA+U | relaxed
data_Li4MnCrO6
_cell_length_a 5.0485
_cell_length_b 8.6380
_cell_length_c 9.7427
_cell_angle_alpha 90.00
_cell_angle_beta 99.13
_cell_angle_gamma 90.00
_space_group_name_H-M_alt 'C 1 2/c 1'
_space_group_IT_number 15
loop_
_space_group_symop_operation_xyz
'x,y,z'
'-x,-y,-z'
'-x,y,-z+1/2'
'x,-y,z+1/2'
'x+1/2,y+1/2,z'
'-x+1/2,-y+1/2,-z'
'-x+1/2,y+1/2,-z+1/2'
'x+1/2,-y+1/2,z+1/2'
loop_
_atom_site_label
_atom_site_fract_x
_atom_site_fract_y
_atom_site_fract_z
Li1 0.0000 0.2471 0.2500
Li2 0.2401 0.0895 0.4992
Li3 0.2500 0.2500 0.0000
Mn1 0.0000 0.0823 0.7500
Cr1 0.0000 0.4211 0.7500
O1 0.1039 0.2498 0.6363
O2 0.1364 0.0706 0.1366
O3 0.1436 0.4307 0.1387
# Total magnetization ... 11.8 μB per cell
# Mass density ... 3.65 g/cm3

---

## Q
# Li4MnCrO6 | the Materials Project | GGA+U | relaxed
data_Li4MnCrO6
_cell_length_a 5.0224
_cell_length_b 8.6879
_cell_length_c 9.7518
_cell_angle_alpha 81.81
_cell_angle_beta 85.18
_cell_angle_gamma 89.71
_space_group_name_H-M_alt 'P 1'
_space_group_IT_number 1
loop_
_space_group_symop_operation_xyz
'x,y,z'
loop_
_atom_site_label
_atom_site_fract_x
_atom_site_fract_y
_atom_site_fract_z
Li1 0.0000 0.0000 0.0000
Li2 0.0000 0.6714 0.9993
Li3 0.0147 0.3294 0.0003
Li4 0.1303 0.1276 0.2504
Li5 0.2492 0.9199 0.5002
Li6 0.2520 0.2493 0.5004
Li7 0.2588 0.5814 0.5005
Li8 0.3775 0.3752 0.7496
Li9 0.4950 0.1695 0.0007
Li10 0.5015 0.5006 0.0002
Li11 0.5125 0.8303 0.0002
Li12 0.6301 0.6281 0.2502
Li13 0.7506 0.7492 0.4999
Li14 0.7516 0.4189 0.5008
Li15 0.7634 0.0829 0.4990
Li16 0.8810 0.8755 0.7507
Mn1 0.1290 0.4583 0.2502
Mn2 0.3773 0.7071 0.7516
Mn3 0.6286 0.9585 0.2505
Mn4 0.8810 0.5437 0.7493
Cr1 0.1311 0.7951 0.2501
Cr2 0.3833 0.0381 0.7513
Cr3 0.6314 0.2950 0.2500
Cr4 0.8764 0.2122 0.7492
O1 0.0430 0.3973 0.6374
O2 0.0757 0.7160 0.6389
O3 0.0798 0.0735 0.6364
O4 0.1779 0.1760 0.8645
O5 0.1825 0.5347 0.8616
O6 0.2160 0.8527 0.8640
O7 0.2877 0.6429 0.1387
O8 0.3213 0.3236 0.1345
O9 0.3255 0.9629 0.1392
O10 0.4316 0.4248 0.3635
O11 0.4378 0.7863 0.3635
O12 0.4695 0.1064 0.3624
O13 0.5369 0.8923 0.6394
O14 0.5773 0.5718 0.6370
O15 0.5851 0.2147 0.6374
O16 0.6737 0.0362 0.8630
O17 0.6811 0.6783 0.8637
O18 0.7217 0.3584 0.8619
O19 0.7865 0.1433 0.1386
O20 0.8213 0.8237 0.1349
O21 0.8258 0.4628 0.1388
O22 0.9313 0.9254 0.3639
O23 0.9381 0.2864 0.3631
O24 0.9695 0.6066 0.3619
# Total magnetization ... 20.0 μB per cell
# Mass density ... 3.65 g/cm3

---

Which one sits at the bottom of the stability order? Q does.

---

## P
# Li3MnCr3O8 | the Materials Project | GGA+U | relaxed
data_Li3MnCr3O8
_cell_length_a 5.9161
_cell_length_b 5.9161
_cell_length_c 14.6093
_cell_angle_alpha 90.00
_cell_angle_beta 90.00
_cell_angle_gamma 120.00
_space_group_name_H-M_alt 'R -3 m'
_space_group_IT_number 166
_space_group_name_Hall '-R 3 2"'
loop_
_atom_site_label
_atom_site_fract_x
_atom_site_fract_y
_atom_site_fract_z
Li1 0.0000 0.5000 0.0000
Mn1 0.0000 0.0000 0.5000
Cr1 0.0000 0.5000 0.5000
O1 0.0000 0.0000 0.2409
O2 0.0150 0.5075 0.2383
# Total magnetization ... 36.0 μB per cell
# Mass density ... 4.05 g/cm3

---

## Q
# Li3MnCr3O8 | the Materials Project | GGA+U | relaxed
data_Li3MnCr3O8
_cell_length_a 10.2540
_cell_length_b 5.8818
_cell_length_c 5.9309
_cell_angle_alpha 90.00
_cell_angle_beta 124.81
_cell_angle_gamma 90.00
_space_group_name_H-M_alt 'C 1 2/m 1'
_space_group_IT_number 12
loop_
_space_group_symop_operation_xyz
'x,y,z'
'-x,-y,-z'
'-x,y,-z'
'x,-y,z'
'x+1/2,y+1/2,z'
'-x+1/2,-y+1/2,-z'
'-x+1/2,y+1/2,-z'
'x+1/2,-y+1/2,z'
loop_
_atom_site_label
_atom_site_fract_x
_atom_site_fract_y
_atom_site_fract_z
Li1 0.0000 0.0000 0.0000
Li2 0.2500 0.2500 0.0000
Mn1 0.0000 0.5000 0.5000
Cr1 0.0000 0.0000 0.5000
Cr2 0.2500 0.2500 0.5000
O1 0.0094 0.2531 0.2869
O2 0.2349 0.0000 0.7149
O3 0.2362 0.5000 0.7222
# Total magnetization ... 24.0 μB per cell
# Mass density ... 4.07 g/cm3

---

Which one sits at the bottom of the stability order? Q does.

---

## P
# Li2Mn3CrO8 | the Materials Project | GGA+U | relaxed
data_Li2Mn3CrO8
_cell_length_a 5.8041
_cell_length_b 5.9361
_cell_length_c 5.9725
_cell_angle_alpha 119.42
_cell_angle_beta 90.21
_cell_angle_gamma 118.97
_space_group_name_H-M_alt 'P -1'
_space_group_IT_number 2
loop_
_space_group_symop_operation_xyz
'x,y,z'
'-x,-y,-z'
loop_
_atom_site_label
_atom_site_fract_x
_atom_site_fract_y
_atom_site_fract_z
Li1 0.0000 0.0000 0.0000
Li2 0.5000 0.5000 0.0000
Mn1 0.0000 0.0000 0.5000
Mn2 0.0000 0.5000 0.5000
Mn3 0.5000 0.0000 0.5000
Cr1 0.5000 0.5000 0.5000
O1 0.2201 0.0580 0.6959
O2 0.2563 0.5638 0.7278
O3 0.2619 0.4391 0.2958
O4 0.2683 0.9503 0.2959
# Total magnetization ... 13.0 μB per cell
# Mass density ... 4.00 g/cm3

---

## Q
# Li2Mn3CrO8 | the Materials Project | GGA+U | relaxed
data_Li2Mn3CrO8
_cell_length_a 8.2357
_cell_length_b 8.2404
_cell_length_c 8.2517
_cell_angle_alpha 90.00
_cell_angle_beta 90.09
_cell_angle_gamma 90.00
_space_group_name_H-M_alt 'P 1 21 1'
_space_group_IT_number 4
loop_
_space_group_symop_operation_xyz
'x,y,z'
'-x,y+1/2,-z'
loop_
_atom_site_label
_atom_site_fract_x
_atom_site_fract_y
_atom_site_fract_z
Li1 0.0024 0.0000 0.2481
Li2 0.2495 0.2469 0.5015
Li3 0.2508 0.7514 0.0016
Li4 0.4974 0.9989 0.7483
Mn1 0.1209 0.8698 0.6253
Mn2 0.1261 0.6199 0.3763
Mn3 0.1294 0.3755 0.1262
Mn4 0.3704 0.6230 0.6261
Mn5 0.3741 0.3786 0.8761
Mn6 0.3790 0.1286 0.1252
Cr1 0.1243 0.1251 0.8750
Cr2 0.3759 0.8733 0.3753
O1 0.1069 0.8849 0.8608
O2 0.1086 0.1056 0.6351
O3 0.1152 0.3842 0.3618
O4 0.1165 0.6103 0.1408
O5 0.1346 0.6342 0.6121
O6 0.1356 0.8560 0.3898
O7 0.1393 0.3661 0.8908
O8 0.1433 0.1410 0.1147
O9 0.3567 0.8574 0.6152
O10 0.3608 0.6325 0.3907
O11 0.3645 0.1426 0.8895
O12 0.3652 0.3643 0.1117
O13 0.3832 0.3883 0.6406
O14 0.3851 0.6144 0.8618
O15 0.3912 0.8929 0.1355
O16 0.3934 0.1135 0.3609
# Total magnetization ... 52.0 μB per cell
# Mass density ... 4.25 g/cm3

---

Which one sits at the bottom of the stability order? P does.

---

## P
# Li2Mn3CrO8 | the Materials Project | GGA+U | relaxed
data_Li2Mn3CrO8
_cell_length_a 5.8847
_cell_length_b 5.8847
_cell_length_c 9.4445
_cell_angle_alpha 90.00
_cell_angle_beta 90.00
_cell_angle_gamma 120.00
_space_group_name_H-M_alt 'P 63 m c'
_space_group_IT_number 186
_space_group_name_Hall 'P 6c -2c'
loop_
_atom_site_label
_atom_site_fract_x
_atom_site_fract_y
_atom_site_fract_z
Li1 0.0000 0.0000 0.0000
Li2 0.3333 0.6667 0.3944
Mn1 0.1707 0.3414 0.7171
Cr1 0.3333 0.6667 0.9907
O1 0.0000 0.0000 0.3110
O2 0.0399 0.5199 0.8401
O3 0.1618 0.3236 0.1046
O4 0.3333 0.6667 0.6033
# Total magnetization ... 26.0 μB per cell
# Mass density ... 4.21 g/cm3

---

## Q
# Li2Mn3CrO8 | the Materials Project | GGA+U | relaxed
data_Li2Mn3CrO8
_cell_length_a 8.3067
_cell_length_b 8.3067
_cell_length_c 8.5018
_cell_angle_alpha 90.00
_cell_angle_beta 90.00
_cell_angle_gamma 90.00
_space_group_name_H-M_alt 'P 43 21 2'
_space_group_IT_number 96
loop_
_space_group_symop_operation_xyz
'x,y,z'
'-y+1/2,x+1/2,z+3/4'
'-x,-y,z+1/2'
'y+1/2,-x+1/2,z+1/4'
'x+1/2,-y+1/2,-z+1/4'
'-y,-x,-z+1/2'
'-x+1/2,y+1/2,-z+3/4'
'y,x,-z'
loop_
_atom_site_label
_atom_site_fract_x
_atom_site_fract_y
_atom_site_fract_z
Li1 0.0010 0.2477 0.3772
Mn1 0.1231 0.3769 0.7472
Mn2 0.1272 0.1272 0.0000
Cr1 0.1265 0.8735 0.2500
O1 0.1093 0.6294 0.2677
O2 0.1088 0.8562 0.4873
O3 0.1123 0.1481 0.7469
O4 0.1133 0.3657 0.9801
# Total magnetization ... 52.0 μB per cell
# Mass density ... 4.06 g/cm3

---

## R
# Li2Mn3CrO8 | the Materials Project | GGA+U | relaxed
data_Li2Mn3CrO8
_cell_length_a 5.9339
_cell_length_b 5.9339
_cell_length_c 14.4743
_cell_angle_alpha 90.00
_cell_angle_beta 90.00
_cell_angle_gamma 120.00
_space_group_name_H-M_alt 'R -3 m'
_space_group_IT_number 166
_space_group_name_Hall '-R 3 2"'
loop_
_atom_site_label
_atom_site_fract_x
_atom_site_fract_y
_atom_site_fract_z
Li1 0.0000 0.0000 0.1220
Mn1 0.0000 0.5000 0.0000
Cr1 0.0000 0.0000 0.5000
O1 0.0000 0.0000 0.2599
O2 0.0346 0.5173 0.2573
# Total magnetization ... 39.0 μB per cell
# Mass density ... 4.05 g/cm3

---

Which one sits at the bottom of the stability order? P does.